No. 1
The following is a DFT calculation (GGA-PBE) of a relaxed structure of Na14La4Ta4Si11SO48.

```
246
Lattice="18.872 0.012 -0.008 -4.713 8.164 0.014 -0.010 0.033 22.888" Properties=species:S:1:pos:R:3 pbc="T T T"
O 0.748 6.853 10.792
O 2.924 3.017 17.291
O 10.138 6.826 17.456
O 1.783 0.156 20.670
O -1.818 5.113 2.026
O 8.412 4.092 19.719
O -3.095 8.130 13.371
O 3.432 1.088 11.858
O 3.051 2.701 0.492
O 8.784 1.426 13.713
O 7.253 0.174 18.676
O -0.833 6.793 13.060
O 3.768 4.035 5.475
O 1.225 4.031 2.044
O 13.281 6.147 7.089
O 0.615 1.654 9.602
O 5.682 6.792 16.083
O 13.246 6.708 13.526
O 0.756 4.100 17.358
O 12.773 6.585 4.467
O 10.107 1.584 16.065
O 7.619 5.111 2.040
O 2.252 0.197 6.926
O 13.304 6.613 20.772
O 12.505 2.703 0.482
O 17.966 1.567 20.752
O 17.480 1.630 6.988
O 8.567 2.036 4.369
O 0.771 4.001 8.323
O 4.222 1.251 21.041
O 3.847 6.139 7.102
O 6.261 3.099 21.007
O 13.200 4.044 5.463
O 14.953 4.204 0.476
O -0.861 3.504 22.487
O 0.866 6.878 8.154
O 15.308 4.126 9.416
O 12.447 2.856 16.625
O 12.589 1.061 11.982
O 1.007 2.107 16.060
O 3.992 1.197 5.599
O 0.593 7.206 2.044
O 8.270 7.199 22.452
O 14.877 6.043 18.412
O 15.768 2.891 14.424
O 12.600 2.581 3.140
O 10.683 4.026 2.052
O 7.665 0.406 1.807
O 11.682 0.198 6.923
O 16.299 2.432 11.893
O 3.872 6.905 13.717
O -0.808 1.591 13.680
O -0.727 6.980 5.851
O 6.886 2.232 12.081
O 8.711 6.991 5.857
O 1.230 1.292 1.815
O 13.423 1.204 5.596
O 3.641 3.937 21.016
O 5.538 1.353 0.554
O 7.866 5.583 8.315
O 12.368 3.037 9.414
O 13.442 1.179 14.484
O 6.387 8.128 13.872
O 14.697 6.513 1.790
O -0.984 4.196 13.291
O 9.986 1.694 9.647
O -0.911 4.193 19.920
O 7.865 5.656 17.297
O 7.772 5.473 10.977
O 6.971 7.990 4.525
O 0.975 6.668 17.336
O 14.871 4.221 3.140
O 5.334 1.056 9.426
O 10.939 5.441 5.913
O 5.607 4.211 16.991
O 13.188 4.141 14.473
O -3.508 6.857 9.601
O 1.508 5.431 5.918
O -1.534 5.383 17.534
O 1.685 5.302 19.779
O 10.321 6.818 8.213
O 16.583 0.349 18.528
O -0.874 2.028 4.369
O 13.086 3.940 20.976
O 13.265 4.651 11.874
O 5.613 1.372 3.251
O 5.655 6.223 18.668
O 5.432 4.212 3.156
O 8.498 1.577 20.832
O 8.483 4.156 5.980
O -1.326 7.180 22.417
O 14.977 1.355 0.554
O 13.700 1.230 21.003
O 5.511 4.201 0.501
O 11.023 5.280 13.300
O -1.598 5.543 8.262
O 17.107 0.410 1.799
O 11.093 5.301 19.722
O 2.958 3.113 9.507
O 10.173 3.959 8.254
O 14.704 0.988 9.419
O 8.708 6.902 13.306
O 2.943 7.805 9.620
O 12.387 7.817 9.622
O 11.505 5.683 22.365
O 3.282 4.431 14.703
O 5.269 6.509 1.808
O 10.261 6.908 10.915
O 5.621 1.262 16.974
O 5.941 6.887 9.639
O 6.221 2.756 5.544
O -1.679 5.373 10.856
O 10.673 1.297 1.809
O 10.111 4.045 17.278
O 1.126 1.987 18.500
O 8.730 4.021 13.114
O 3.048 8.011 16.097
O 11.222 0.136 20.882
O 6.857 3.148 14.633
O 8.541 3.649 22.385
O 4.093 0.737 14.405
O 15.662 2.776 5.535
O 10.313 4.069 10.865
O 2.063 5.677 22.402
O -3.294 6.332 15.797
O 10.040 7.216 2.078
O 4.103 4.825 12.146
O 14.985 3.982 16.848
O 15.741 3.087 21.019
O -0.924 4.139 5.985
O 12.012 7.759 15.933
O 11.040 1.783 18.535
O 8.054 1.626 6.994
O 8.697 6.968 19.823
O 1.600 5.598 13.095
O 3.345 6.583 4.483
O -2.465 7.989 4.526
O 3.151 2.584 3.148
O 3.890 6.634 20.827
O 14.726 1.271 16.827
O -0.645 7.048 19.835
O 5.953 4.148 9.472
O 15.059 1.387 3.252
O 0.833 3.914 10.991
Na 15.414 5.561 20.920
Na 12.355 0.394 9.623
Na -1.114 2.752 1.918
Na 6.584 0.223 20.901
Na 12.344 5.853 1.939
Na -4.680 8.161 11.482
Na 14.196 2.971 7.617
Na 7.616 2.318 9.477
Na 4.696 8.184 11.329
Na 2.942 0.404 9.686
Na 1.581 2.474 21.045
Na 10.855 2.684 13.279
Na 1.249 2.698 13.261
Na 8.314 2.754 1.916
Na 3.577 5.449 9.498
Na -1.769 7.784 1.798
Na -0.204 5.621 15.343
Na 9.443 5.471 15.296
Na 4.806 2.664 18.988
Na 2.898 5.847 1.915
Na 12.485 5.279 17.111
Na 3.141 5.334 17.096
Na 11.080 2.446 20.933
Na 4.749 2.938 7.628
Na 7.587 2.961 17.052
Na 9.476 5.239 3.848
Na 12.717 0.106 17.195
Na 4.710 8.192 22.858
Na 5.949 5.604 20.895
Na 15.974 0.283 20.906
Na 13.066 5.425 9.533
Na 18.862 0.030 -0.005
Na 17.063 2.366 9.533
Na 1.581 8.047 13.316
Na 7.667 7.789 1.782
Na 14.322 2.761 19.040
Na 1.476 8.168 5.723
Na 15.639 0.024 5.703
Na 6.388 5.645 13.343
Na 0.041 5.233 3.848
Na 11.270 7.981 13.459
Na -3.077 5.729 13.409
Si 17.316 2.645 5.711
Si -1.453 3.051 21.053
Si 12.260 5.387 20.976
Si 11.551 2.665 1.881
Si 3.221 0.152 13.169
Si -2.664 5.467 9.515
Si 6.824 5.520 9.581
Si 12.666 0.226 13.372
Si 2.100 2.669 1.885
Si 15.480 0.500 1.928
Si 2.848 5.412 21.014
Si 15.724 5.467 17.151
Si 1.336 3.106 9.615
Si 1.797 8.116 17.285
Si 11.066 8.190 17.188
Si 10.763 7.721 9.518
Si 8.085 7.985 21.066
Si 7.764 2.701 13.367
Si -1.384 8.017 21.040
Si 1.308 7.742 9.490
Si 6.012 5.066 1.850
Si 3.162 5.550 5.740
Si 17.027 2.788 13.294
Si 6.201 5.683 17.263
Si 15.447 5.073 1.832
Si 10.761 3.121 9.558
Si 7.926 3.077 21.015
Si 12.694 5.211 13.277
Si 6.035 0.494 1.917
Si 3.216 5.387 13.395
Si 10.908 2.594 17.147
Si 7.873 2.637 5.712
Si 12.597 5.560 5.734
La 4.787 2.783 11.081
La 4.648 8.126 7.951
La 0.005 5.448 0.437
La 9.473 5.452 0.482
La 9.480 0.096 19.251
La -4.664 8.111 15.115
La 14.087 8.134 7.966
La 14.144 2.679 11.061
La 4.692 2.676 15.413
La 9.363 0.062 3.445
La 14.079 8.132 19.225
La 18.802 0.071 3.453
Ta 0.019 5.333 7.230
Ta 4.707 8.178 15.018
Ta -0.032 5.563 18.819
Ta -0.045 5.450 11.875
Ta 4.705 2.777 22.356
Ta 9.382 5.496 18.731
Ta 4.728 2.849 4.222
Ta 14.171 2.864 4.220
Ta 14.171 2.751 15.539
Ta 14.154 2.761 22.352
Ta 9.449 5.340 7.215
Ta 9.483 5.456 11.925
S 12.514 0.017 5.715
S 1.453 2.778 17.304
S -1.633 8.172 5.734
```

Properties
- space group = P1, No. 1

No. 2
The following is a DFT calculation (GGA-PBE) of a relaxed structure of Na6La2Ta2Si5SO24.

```
120
Lattice="-2.757 -3.814 -8.137 9.001 -0.490 2.595 -4.124 -19.693 10.824" Properties=species:S:1:pos:R:3 pbc="T T T"
O -1.748 -13.706 -0.177
O -2.112 -16.033 0.960
O 4.494 -7.480 -2.227
O 2.055 -8.845 2.295
O -1.563 -5.485 -3.542
O 1.472 -2.389 -2.297
O 5.260 -2.652 1.370
O 2.552 -12.227 -1.554
O 0.702 -13.243 1.332
O 0.386 -16.226 6.845
O 3.324 -9.624 -1.145
O -1.905 -12.226 2.384
O -2.564 -12.420 5.029
O -2.563 -5.129 -5.947
O 2.540 -15.326 1.594
O 3.657 -9.921 5.826
O 0.587 -2.436 -0.060
O -0.908 -3.308 -5.046
O -3.462 -17.016 2.988
O 2.921 -17.174 6.144
O -1.567 -6.991 1.581
O 3.271 -18.599 8.783
O -2.370 -14.510 3.409
O 0.480 -17.706 9.244
O 4.429 -11.998 3.153
O 4.861 -9.495 2.194
O 4.506 -13.474 5.730
O 4.846 -11.748 0.617
O -0.294 -19.862 10.725
O 1.246 -4.527 -1.117
O 3.660 -17.301 3.513
O -2.824 -21.283 3.743
O 7.476 -5.027 3.307
O -0.871 -18.017 2.361
O 1.875 -7.405 -1.184
O -1.182 -6.763 -0.961
O 0.209 -11.639 -1.306
O 0.538 -21.689 7.747
O -3.835 -15.323 -0.956
O 1.996 -6.529 -4.192
O 2.521 -15.807 8.491
O 5.377 -6.599 2.579
O 2.914 -2.997 -0.402
O -2.240 -9.653 -3.984
O 0.652 -20.063 2.848
O -0.554 -9.178 3.389
O -1.082 -20.478 6.011
O 3.154 -20.656 10.097
O -2.122 -17.059 7.249
O 4.680 -19.009 10.775
O 1.961 -13.888 3.753
O -0.138 -8.275 -3.575
O -1.295 -16.551 4.814
O -5.016 -18.957 2.467
O 3.945 -7.819 4.605
O 1.345 -12.331 6.534
O -3.933 -19.736 6.092
O 5.539 -4.180 -1.312
O 0.977 -4.052 2.280
O 0.259 -10.537 1.174
O 1.079 -19.160 6.926
O 2.731 -4.174 -5.222
O 2.688 -6.142 2.467
O 3.984 -7.506 0.420
O 1.438 -21.368 5.323
O 4.561 -14.291 9.583
O 1.246 -11.064 3.594
O -2.104 -10.846 -0.158
O 0.107 -15.428 2.640
O -1.622 -14.471 6.760
O -2.103 -18.047 10.130
O 4.469 -6.082 -4.867
Si 2.893 -5.828 -5.335
Si 5.275 -11.172 2.069
Si 0.693 -9.880 2.664
Si 7.026 -6.625 2.897
Si 1.728 -5.120 3.387
Si -0.526 -18.267 10.507
Si -2.937 -13.002 3.519
Si 3.350 -8.033 -1.061
Si -2.222 -15.303 -0.486
Si -2.109 -4.342 -4.538
Si 0.483 -20.694 6.466
Si 4.013 -17.830 5.092
Si -1.233 -16.061 6.368
Si 3.115 -15.119 9.889
Si 1.348 -14.419 2.342
La 5.131 -1.908 -0.842
La -1.330 -7.041 3.825
La 2.937 -11.884 4.826
La 2.807 -20.592 3.473
La 0.386 -6.209 -2.641
La -2.857 -22.137 5.937
S 1.557 -3.090 -0.996
S 3.980 -8.492 5.958
S 4.043 -19.599 9.577
Na -2.671 -18.602 0.945
Na 4.355 -14.375 3.400
Na -1.858 -19.180 7.944
Na -2.655 -7.431 -2.651
Na 4.754 -4.857 0.867
Na 4.031 -4.364 -3.073
Na 2.499 -14.711 6.294
Na -2.096 -18.994 4.485
Na -0.363 -21.762 3.759
Na -0.125 -12.776 4.734
Na 2.009 -9.007 -3.708
Na -5.425 -20.735 4.046
Na 2.499 -11.170 0.594
Na 2.643 -1.804 1.616
Na -1.832 -9.901 5.344
Na 2.144 -23.855 5.355
Na -0.381 -9.314 -0.917
Na 0.958 -6.560 0.758
Ta -1.629 -16.203 2.876
Ta 3.484 -17.070 1.522
Ta 3.777 -7.877 2.325
Ta 5.560 -7.360 -3.837
Ta 1.640 -17.452 7.664
Ta -0.914 -12.164 0.750
```

Properties
- space group = P1, No. 1

no.,energy of formation (meV per atom)
1,-3012
2,-2960